Record 1
## GdB2Os2 (r2SCAN)

Data for an optimized crystal structure of GdB2Os2.

a b c (Å): 6.682 8.965 9.846
angles (deg): 90.00 90.00 90.00
Space group Fddd (No. 70, origin choice 2)
Asymmetric unit:
Gd 0.125 0.125 0.125 [8 per cell]
B 0.125 0.314 0.625 [16 per cell]
Os 0.125 0.125 0.487 [16 per cell]

---

Record 2
## GdReB4 (r2SCAN)

Data for an optimized crystal structure of GdReB4.

a b c (Å): 5.996 11.596 3.629
angles (deg): 90.00 90.00 90.00
Space group Pbam (No. 55)
Asymmetric unit:
Gd 0.126 0.151 0.000 [4 per cell]
Re 0.132 0.413 0.000 [4 per cell]
B 0.023 0.691 0.500 [4 per cell]
B 0.113 0.547 0.500 [4 per cell]
B 0.138 0.968 0.500 [4 per cell]
B 0.214 0.816 0.500 [4 per cell]

---

Record 3
## GdB2Ru2 (r2SCAN)

Data for an optimized crystal structure of GdB2Ru2.

a b c (Å): 6.590 8.956 9.788
angles (deg): 90.00 90.00 90.00
Space group Fddd (No. 70, origin choice 2)
Asymmetric unit:
Gd 0.125 0.125 0.125 [8 per cell]
B 0.125 0.312 0.625 [16 per cell]
Ru 0.125 0.125 0.487 [16 per cell]

---

Record 4
## GdB2Ru3 (r2SCAN)

Data for an optimized crystal structure of GdB2Ru3.

a b c (Å): 5.4988 5.4988 3.0244
angles (deg): 90.00 90.00 120.00
Space group P6/mmm (No. 191)
Asymmetric unit:
Gd 0.0000 0.0000 0.0000 [1 per cell]
B 0.3333 0.6667 0.0000 [2 per cell]
Ru 0.0000 0.5000 0.5000 [3 per cell]

---

| no. | energy of formation (meV/atom) |
| --- | --- |
| 1 | -534 |
| 2 | -600 |
| 3 | -590 |
| 4 | -483 |